A geometry-optimized NaZrAlSiS2O12 structure. Source: Materials Project, functional PBE.

abc: 8.7531 8.7531 22.7278
angles: 90.71 90.71 59.96
Element x y z (fractional)
Na: 0.0005 0.9995 0.5000
Na: 0.3012 0.3372 0.3335
Na: 0.3372 0.3012 0.8335
Na: 0.6499 0.6777 0.6653
Na: 0.6777 0.6499 0.1653
Na: 0.9995 0.0005 0.0000
Zr: 0.3098 0.3119 0.4824
Zr: 0.3119 0.3098 0.9824
Zr: 0.6485 0.6726 0.8149
Zr: 0.6726 0.6485 0.3149
Zr: 0.9859 0.9899 0.1490
Zr: 0.9899 0.9859 0.6490
Al: 0.2834 0.3514 0.1905
Al: 0.3514 0.2834 0.6905
Al: 0.6492 0.6538 0.0224
Al: 0.6538 0.6492 0.5224
Al: 0.9858 0.9949 0.8581
Al: 0.9949 0.9858 0.3581
Si: 0.0041 0.7005 0.2575
Si: 0.0114 0.3430 0.0879
Si: 0.3430 0.0114 0.5879
Si: 0.3542 0.9314 0.9237
Si: 0.7005 0.0041 0.7575
Si: 0.9314 0.3542 0.4237
S: 0.0024 0.2726 0.7561
S: 0.0302 0.6002 0.5899
S: 0.2723 0.6876 0.7549
S: 0.2726 0.0024 0.2561
S: 0.3345 0.6023 0.0892
S: 0.3626 0.6649 0.4217
S: 0.6002 0.0302 0.0899
S: 0.6023 0.3345 0.5892
S: 0.6649 0.3626 0.9217
S: 0.6690 0.9382 0.4227
S: 0.6876 0.2723 0.2549
S: 0.9382 0.6690 0.9227
O: 0.0054 0.7822 0.5935
O: 0.0184 0.8061 0.3144
O: 0.0299 0.1638 0.8085
O: 0.1135 0.3631 0.1452
O: 0.1211 0.4966 0.6422
O: 0.1225 0.5158 0.9274
O: 0.1287 0.3383 0.4254
O: 0.1370 0.5275 0.5356
O: 0.1382 0.3001 0.0301
O: 0.1568 0.2972 0.7485
O: 0.1590 0.9575 0.9108
O: 0.1638 0.0299 0.3085
O: 0.1653 0.9931 0.5929
O: 0.1699 0.7769 0.8076
O: 0.1746 0.7826 0.0935
O: 0.1782 0.5053 0.2494
O: 0.1850 0.8242 0.4161
O: 0.1930 0.9753 0.2018
O: 0.2011 0.8005 0.7017
O: 0.2797 0.5174 0.7454
O: 0.2972 0.1568 0.2485
O: 0.3001 0.1382 0.5301
O: 0.3083 0.5239 0.0351
O: 0.3383 0.1287 0.9254
O: 0.3450 0.5052 0.4273
O: 0.3545 0.4959 0.1420
O: 0.3631 0.1135 0.6452
O: 0.4473 0.6894 0.4749
O: 0.4471 0.8399 0.2614
O: 0.4574 0.6556 0.7597
O: 0.4604 0.8116 0.9803
O: 0.4656 0.6409 0.3681
O: 0.4747 0.8497 0.8646
O: 0.4919 0.6216 0.0842
O: 0.4959 0.3545 0.6420
O: 0.4966 0.1211 0.1422
O: 0.5053 0.1782 0.7494
O: 0.5052 0.3450 0.9273
O: 0.5158 0.1225 0.4274
O: 0.5174 0.2797 0.2454
O: 0.5173 0.8208 0.5747
O: 0.5239 0.3083 0.5351
O: 0.5275 0.1370 0.0356
O: 0.6147 0.8559 0.0823
O: 0.6216 0.4919 0.5842
O: 0.6284 0.8681 0.3684
O: 0.6409 0.4656 0.8681
O: 0.6556 0.4574 0.2597
O: 0.6769 0.8268 0.7594
O: 0.6845 0.8330 0.4745
O: 0.6894 0.4473 0.9749
O: 0.7769 0.1699 0.3076
O: 0.7822 0.0054 0.0935
O: 0.7826 0.1746 0.5935
O: 0.8005 0.2011 0.2017
O: 0.8061 0.0184 0.8144
O: 0.8116 0.4604 0.4803
O: 0.8144 0.9709 0.6978
O: 0.8208 0.5173 0.0747
O: 0.8242 0.1850 0.9161
O: 0.8268 0.6769 0.2594
O: 0.8306 0.9484 0.4160
O: 0.8330 0.6845 0.9745
O: 0.8399 0.4471 0.7614
O: 0.8497 0.4747 0.3646
O: 0.8559 0.6147 0.5823
O: 0.8681 0.6284 0.8684
O: 0.9484 0.8306 0.9160
O: 0.9575 0.1590 0.4108
O: 0.9709 0.8144 0.1978
O: 0.9753 0.1930 0.7018
O: 0.9931 0.1653 0.0929

Properties
Energy with MP2020 corrections, eV/atom: -7.472
Mass density, g/cm³: 2.81
Energy of formation, eV per atom: -2.6554
Symmetry: No. 9
Final energy, eV per atom: -7.01